The following is a DFT calculation (GGA+U) of an optimized crystal structure of Y3Fe5O12.

Results
Symmetry ... Ia-3d, No. 230
ρ ... 4.9 g cm⁻³
Formation energy from the elements ... -2.533 eV/atom
Calculated total energy ... -7.613 eV/atom
M_tot ... 25.00 μB/f.u.

Lattice parameters (Å, degrees): 10.8772 10.8772 10.8772 109.47 109.47 109.47
Atoms (fractional coordinates):
O: 0.8228 0.5310 0.4059
O: 0.0310 0.3228 0.9059
O: 0.4690 0.3749 0.2918
O: 0.0310 0.2082 0.1251
O: 0.4690 0.5941 0.1772
O: 0.2918 0.3228 0.9169
O: 0.7918 0.8749 0.9690
O: 0.1251 0.0310 0.2082
O: 0.3228 0.9169 0.2918
O: 0.1772 0.2082 0.5831
O: 0.0831 0.8749 0.4059
Fe: 0.1250 0.8750 0.2500
Fe: 0.0000 0.5000 0.0000
O: 0.4059 0.0831 0.8749
Fe: 0.0000 0.0000 0.0000
O: 0.4169 0.0941 0.6251
Y: 0.6250 0.2500 0.8750
O: 0.5941 0.1772 0.4690
O: 0.9169 0.2918 0.3228
Fe: 0.7500 0.3750 0.6250
O: 0.0941 0.6251 0.4169
Fe: 0.0000 0.5000 0.5000
O: 0.8749 0.9690 0.7918
O: 0.6772 0.0941 0.9690
O: 0.0831 0.7082 0.6772
O: 0.8228 0.7918 0.4169
Fe: 0.5000 0.0000 0.5000
O: 0.1251 0.5941 0.9169
O: 0.6251 0.4169 0.0941
O: 0.0941 0.9690 0.6772
O: 0.2082 0.1251 0.0310
O: 0.7918 0.4169 0.8228
O: 0.9690 0.7918 0.8749
O: 0.3749 0.2918 0.4690
Y: 0.6250 0.8750 0.7500
Fe: 0.3750 0.6250 0.7500
Y: 0.3750 0.1250 0.2500
O: 0.1772 0.4690 0.5941
O: 0.3228 0.9059 0.0310
Y: 0.3750 0.7500 0.1250
Y: 0.8750 0.6250 0.2500
Y: 0.2500 0.8750 0.6250
O: 0.4059 0.8228 0.5310
O: 0.9169 0.1251 0.5941
Y: 0.8750 0.7500 0.6250
O: 0.9690 0.6772 0.0941
O: 0.4169 0.8228 0.7918
Fe: 0.2500 0.1250 0.8750
Fe: 0.1250 0.7500 0.8750
O: 0.9059 0.3749 0.5831
O: 0.7082 0.5310 0.6251
Y: 0.7500 0.1250 0.3750
O: 0.5310 0.6251 0.7082
O: 0.2918 0.4690 0.3749
O: 0.9059 0.0310 0.3228
O: 0.5941 0.9169 0.1251
O: 0.8749 0.4059 0.0831
Fe: 0.8750 0.2500 0.1250
O: 0.5831 0.9059 0.3749
Fe: 0.8750 0.1250 0.7500
O: 0.6251 0.7082 0.5310
Fe: 0.6250 0.7500 0.3750
Fe: 0.7500 0.8750 0.1250
Fe: 0.0000 0.0000 0.5000
Y: 0.1250 0.3750 0.7500
Y: 0.1250 0.2500 0.3750
Y: 0.2500 0.3750 0.1250
Fe: 0.3750 0.2500 0.6250
O: 0.6772 0.0831 0.7082
O: 0.3749 0.5831 0.9059
Fe: 0.5000 0.0000 0.0000
O: 0.5831 0.1772 0.2082
Fe: 0.5000 0.5000 0.5000
Fe: 0.6250 0.3750 0.2500
Y: 0.7500 0.6250 0.8750
Fe: 0.5000 0.5000 0.0000
O: 0.7082 0.6772 0.0831
O: 0.2082 0.5831 0.1772
O: 0.5310 0.4059 0.8228
Fe: 0.2500 0.6250 0.3750